# Na4FeO5, relaxed, DFT PBE+U
# **Energy relative to the elements**: -33.7 kcal/mol of atoms
# **Energy with MP2020 corrections**: -5.310 eV per atom
# **Space-group type**: P2, No. 3
# **ρ**: 2.97 g/cm3
# **Uncorrected energy**: -189.6 eV for the cell shown
# **Energy relative to the lowest polymorph listed for this composition**: 0.029 eV/atom
data_Na4FeO5
_cell_length_a 7.390
_cell_length_b 9.320
_cell_length_c 7.393
_cell_angle_alpha 90.00
_cell_angle_beta 90.06
_cell_angle_gamma 90.00
_space_group_name_H-M_alt 'P 1'
_space_group_IT_number 1
loop_
_space_group_symop_operation_xyz
'x,y,z'
loop_
_atom_site_label
_atom_site_type_symbol
_atom_site_fract_x
_atom_site_fract_y
_atom_site_fract_z
_atom_site_occupancy
Na1 Na 0.102 0.000 0.289 1
Na2 Na 0.105 0.500 0.296 1
Na3 Na 0.204 0.750 0.605 1
Na4 Na 0.210 0.251 0.603 1
Na5 Na 0.289 0.000 0.898 1
Na6 Na 0.296 0.500 0.896 1
Na7 Na 0.395 0.750 0.204 1
Na8 Na 0.397 0.251 0.210 1
Na9 Na 0.603 0.251 0.790 1
Na10 Na 0.605 0.750 0.796 1
Na11 Na 0.704 0.500 0.104 1
Na12 Na 0.711 0.000 0.102 1
Na13 Na 0.790 0.251 0.397 1
Na14 Na 0.796 0.750 0.395 1
Na15 Na 0.895 0.500 0.704 1
Na16 Na 0.898 0.000 0.711 1
Fe1 Fe 0.000 0.259 0.000 1
Fe2 Fe 0.000 0.721 0.000 1
Fe3 Fe 0.500 0.528 0.500 1
Fe4 Fe 0.500 0.991 0.500 1
O1 O 0.000 0.058 0.000 1
O2 O 0.000 0.476 0.000 1
O3 O 0.069 0.747 0.237 1
O4 O 0.070 0.255 0.245 1
O5 O 0.237 0.747 0.931 1
O6 O 0.245 0.255 0.930 1
O7 O 0.255 0.996 0.570 1
O8 O 0.263 0.504 0.569 1
O9 O 0.430 0.996 0.255 1
O10 O 0.431 0.504 0.263 1
O11 O 0.500 0.192 0.500 1
O12 O 0.500 0.776 0.500 1
O13 O 0.569 0.504 0.737 1
O14 O 0.570 0.996 0.745 1
O15 O 0.737 0.504 0.431 1
O16 O 0.745 0.996 0.430 1
O17 O 0.755 0.255 0.070 1
O18 O 0.763 0.747 0.069 1
O19 O 0.930 0.255 0.755 1
O20 O 0.931 0.747 0.763 1